No. 1
# VGa (PBE, optimized geometry)
# Calculated volume   29.1 Å³/f.u.
# Formation energy from the elements   -0.1255 eV per atom
data_VGa
_space_group_name_H-M_alt 'P -6 m 2'
_space_group_IT_number 187
_space_group_name_Hall 'P -6 2'
_cell_length_a 2.7764
_cell_length_b 2.7764
_cell_length_c 4.3548
_cell_angle_alpha 90.00
_cell_angle_beta 90.00
_cell_angle_gamma 120.00
loop_
_atom_site_label
_atom_site_type_symbol
_atom_site_fract_x
_atom_site_fract_y
_atom_site_fract_z
V1 V 0.0000 0.0000 0.0000
Ga1 Ga 0.3333 0.6667 0.5000

***

No. 2
# CeOF (PBE, optimized geometry)
# Calculated volume   45.5 Å³/f.u.
# Formation energy from the elements   -4.0021 eV per atom
data_CeOF
_space_group_name_H-M_alt 'F -4 3 m'
_space_group_IT_number 216
_space_group_name_Hall 'F -4 2 3'
_cell_length_a 5.668
_cell_length_b 5.668
_cell_length_c 5.668
_cell_angle_alpha 90.00
_cell_angle_beta 90.00
_cell_angle_gamma 90.00
loop_
_atom_site_label
_atom_site_type_symbol
_atom_site_fract_x
_atom_site_fract_y
_atom_site_fract_z
Ce1 Ce 0.000 0.000 0.000
O1 O 0.250 0.250 0.250
F1 F 0.250 0.250 0.750

***

No. 3
# YMgTiS4 (PBE, optimized geometry)
# Calculated volume   156.3 Å³/f.u.
# Formation energy from the elements   -1.8560 eV per atom
data_YMgTiS4
_space_group_name_H-M_alt 'I m m a'
_space_group_IT_number 74
_space_group_name_Hall '-I 2b 2'
_cell_length_a 7.464
_cell_length_b 7.771
_cell_length_c 10.780
_cell_angle_alpha 90.00
_cell_angle_beta 90.00
_cell_angle_gamma 90.00
loop_
_atom_site_label
_atom_site_type_symbol
_atom_site_fract_x
_atom_site_fract_y
_atom_site_fract_z
Y1 Y 0.000 0.000 0.000
Mg1 Mg 0.000 0.250 0.373
Ti1 Ti 0.250 0.250 0.750
S1 S 0.000 0.026 0.747
S2 S 0.250 0.250 0.518

***

No. 4
# Ca3Ga4Ni4 (PBE, optimized geometry)
# Calculated volume   202.4 Å³/f.u.
# Formation energy from the elements   -0.4872 eV per atom
data_Ca3Ga4Ni4
_space_group_name_H-M_alt 'I -4 3 m'
_space_group_IT_number 217
_space_group_name_Hall 'I -4 2 3'
_cell_length_a 7.397
_cell_length_b 7.397
_cell_length_c 7.397
_cell_angle_alpha 90.00
_cell_angle_beta 90.00
_cell_angle_gamma 90.00
loop_
_atom_site_label
_atom_site_type_symbol
_atom_site_fract_x
_atom_site_fract_y
_atom_site_fract_z
Ca1 Ca 0.000 0.000 0.500
Ga1 Ga 0.195 0.195 0.195
Ni1 Ni 0.123 0.123 0.877

***

No. 5
# CuTeO5 (PBE, optimized geometry)
# Energy above the most stable polymorph in this dataset   0.0 meV/atom
# Calculated volume   100.3 Å³/f.u.
# Formation energy from the elements   -0.4770 eV per atom
data_CuTeO5
_space_group_name_H-M_alt 'P 21 21 21'
_space_group_IT_number 19
_space_group_name_Hall 'P 2ac 2ab'
_cell_length_a 4.803
_cell_length_b 7.758
_cell_length_c 10.767
_cell_angle_alpha 90.00
_cell_angle_beta 90.00
_cell_angle_gamma 90.00
loop_
_atom_site_label
_atom_site_type_symbol
_atom_site_fract_x
_atom_site_fract_y
_atom_site_fract_z
Cu1 Cu 0.070 0.110 0.431
Te1 Te 0.173 0.191 0.131
O1 O 0.035 0.954 0.997
O2 O 0.037 0.861 0.466
O3 O 0.054 0.610 0.239
O4 O 0.061 0.686 0.711
O5 O 0.167 0.342 0.476

***

No. 6
# Cs2NaTbCl6 (PBE, optimized geometry)
# Calculated volume   326.9 Å³/f.u.
# Formation energy from the elements   -2.5012 eV per atom
data_Cs2NaTbCl6
_space_group_name_H-M_alt 'F m -3 m'
_space_group_IT_number 225
_space_group_name_Hall '-F 4 2 3'
_cell_length_a 10.936
_cell_length_b 10.936
_cell_length_c 10.936
_cell_angle_alpha 90.00
_cell_angle_beta 90.00
_cell_angle_gamma 90.00
loop_
_atom_site_label
_atom_site_type_symbol
_atom_site_fract_x
_atom_site_fract_y
_atom_site_fract_z
Cs1 Cs 0.250 0.250 0.250
Na1 Na 0.000 0.000 0.000
Tb1 Tb 0.000 0.000 0.500
Cl1 Cl 0.000 0.000 0.257

***

No. 7
# Mg14ZrV (PBE, optimized geometry)
# Energy above the most stable polymorph in this dataset   0.0 meV/atom
# Calculated volume   355.8 Å³/f.u.
# Formation energy from the elements   0.0864 eV per atom
data_Mg14ZrV
_space_group_name_H-M_alt 'A m m 2'
_space_group_IT_number 38
_space_group_name_Hall 'A 2 -2'
_cell_length_a 10.194
_cell_length_b 6.275
_cell_length_c 11.124
_cell_angle_alpha 90.00
_cell_angle_beta 90.00
_cell_angle_gamma 90.00
loop_
_atom_site_label
_atom_site_type_symbol
_atom_site_fract_x
_atom_site_fract_y
_atom_site_fract_z
Mg1 Mg 0.000 0.000 0.000
Mg2 Mg 0.000 0.000 0.499
Mg3 Mg 0.000 0.249 0.250
Mg4 Mg 0.250 0.000 0.663
Mg5 Mg 0.254 0.248 0.917
Mg6 Mg 0.258 0.000 0.162
Mg7 Mg 0.500 0.246 0.752
Zr1 Zr 0.500 0.000 0.501
V1 V 0.500 0.000 0.999

***

No. 8
# Na3B5S9 (PBE, optimized geometry)
# Calculated volume   348.7 Å³/f.u.
# Formation energy from the elements   -0.9792 eV per atom
data_Na3B5S9
_space_group_name_H-M_alt 'I 41/a c d'
_space_group_IT_number 142
_cell_length_a 14.551
_cell_length_b 14.551
_cell_length_c 26.347
_cell_angle_alpha 90.00
_cell_angle_beta 90.00
_cell_angle_gamma 90.00
loop_
_space_group_symop_operation_xyz
'x,y,z'
'-x,-y,-z'
'-y+1/4,x+3/4,z+1/4'
'y+1/4,-x+3/4,-z+1/4'
'-x+1/2,-y,z+1/2'
'x+1/2,y,-z+1/2'
'y+1/4,-x+1/4,z+3/4'
'-y+1/4,x+1/4,-z+3/4'
'x,-y,-z+1/2'
'-x,y,z+1/2'
'-y+1/4,-x+1/4,-z+1/4'
'y+1/4,x+1/4,z+1/4'
'-x+1/2,y,-z'
'x+1/2,-y,z'
'y+1/4,x+3/4,-z+3/4'
'-y+1/4,-x+3/4,z+3/4'
'x+1/2,y+1/2,z+1/2'
'-x+1/2,-y+1/2,-z+1/2'
'-y+3/4,x+1/4,z+3/4'
'y+3/4,-x+1/4,-z+3/4'
'-x,-y+1/2,z'
'x,y+1/2,-z'
'y+3/4,-x+3/4,z+1/4'
'-y+3/4,x+3/4,-z+1/4'
'x+1/2,-y+1/2,-z'
'-x+1/2,y+1/2,z'
'-y+3/4,-x+3/4,-z+3/4'
'y+3/4,x+3/4,z+3/4'
'-x,y+1/2,-z+1/2'
'x,-y+1/2,z+1/2'
'y+3/4,x+1/4,-z+1/4'
'-y+3/4,-x+1/4,z+1/4'
loop_
_atom_site_label
_atom_site_type_symbol
_atom_site_fract_x
_atom_site_fract_y
_atom_site_fract_z
Na1 Na 0.000 0.000 0.000
Na2 Na 0.087 0.000 0.250
Na3 Na 0.204 0.046 0.625
B1 B 0.000 0.250 0.290
B2 B 0.025 0.099 0.375
B3 B 0.122 0.082 0.792
S1 S 0.035 0.011 0.833
S2 S 0.062 0.167 0.747
S3 S 0.065 0.160 0.918
S4 S 0.111 0.034 0.416
S5 S 0.196 0.000 0.750

***

No. 9
# KSb2F7 (PBE, optimized geometry)
# Calculated volume   179.9 Å³/f.u.
# Formation energy from the elements   -2.8077 eV per atom
data_KSb2F7
_space_group_name_H-M_alt 'P 1 21/c 1'
_space_group_IT_number 14
_space_group_name_Hall '-P 2ybc'
_cell_length_a 10.998
_cell_length_b 7.645
_cell_length_c 8.725
_cell_angle_alpha 90.00
_cell_angle_beta 101.24
_cell_angle_gamma 90.00
loop_
_atom_site_label
_atom_site_type_symbol
_atom_site_fract_x
_atom_site_fract_y
_atom_site_fract_z
K1 K 0.071 0.164 0.327
Sb1 Sb 0.241 0.684 0.491
Sb2 Sb 0.392 0.178 0.654
F1 F 0.092 0.658 0.964
F2 F 0.120 0.511 0.380
F3 F 0.192 0.618 0.689
F4 F 0.213 0.203 0.631
F5 F 0.351 0.587 0.183
F6 F 0.373 0.066 0.055
F7 F 0.374 0.111 0.431

***

No. 10
# LiFe3Sn2S8 (PBE, optimized geometry)
# Calculated volume   260.3 Å³/f.u.
# Formation energy from the elements   -0.7307 eV per atom
data_LiFe3Sn2S8
_space_group_name_H-M_alt 'I m m 2'
_space_group_IT_number 44
_space_group_name_Hall 'I 2 -2'
_cell_length_a 7.011
_cell_length_b 7.319
_cell_length_c 10.145
_cell_angle_alpha 90.00
_cell_angle_beta 90.00
_cell_angle_gamma 90.00
loop_
_atom_site_label
_atom_site_type_symbol
_atom_site_fract_x
_atom_site_fract_y
_atom_site_fract_z
Li1 Li 0.000 0.000 0.000
Fe1 Fe 0.000 0.500 0.733
Fe2 Fe 0.239 0.500 0.118
Sn1 Sn 0.000 0.253 0.367
S1 S 0.000 0.223 0.617
S2 S 0.000 0.290 0.115
S3 S 0.243 0.500 0.883
S4 S 0.248 0.000 0.842

***

No. 11
# Sr9Nd3Cu12Pb8O32 (PBE, optimized geometry)
# Calculated volume   962.8 Å³/f.u.
# Formation energy from the elements   -1.9950 eV per atom
data_Sr9Nd3Cu12Pb8O32
_space_group_name_H-M_alt 'C 1 2/m 1'
_space_group_IT_number 12
_space_group_name_Hall '-C 2y'
_cell_length_a 32.708
_cell_length_b 5.465
_cell_length_c 10.927
_cell_angle_alpha 90.00
_cell_angle_beta 99.62
_cell_angle_gamma 90.00
loop_
_atom_site_label
_atom_site_type_symbol
_atom_site_fract_x
_atom_site_fract_y
_atom_site_fract_z
Sr1 Sr 0.000 0.000 0.000
Sr2 Sr 0.111 0.000 0.055
Sr3 Sr 0.112 0.000 0.556
Sr4 Sr 0.112 0.500 0.305
Sr5 Sr 0.112 0.500 0.807
Nd1 Nd 0.000 0.000 0.500
Nd2 Nd 0.000 0.500 0.247
Cu1 Cu 0.055 0.000 0.277
Cu2 Cu 0.055 0.000 0.778
Cu3 Cu 0.055 0.500 0.028
Cu4 Cu 0.055 0.500 0.527
Cu5 Cu 0.250 0.000 0.125
Cu6 Cu 0.250 0.000 0.625
Pb1 Pb 0.194 0.000 0.347
Pb2 Pb 0.194 0.000 0.847
Pb3 Pb 0.194 0.500 0.097
Pb4 Pb 0.194 0.500 0.597
O1 O 0.049 0.249 0.399
O2 O 0.049 0.249 0.649
O3 O 0.051 0.257 0.154
O4 O 0.051 0.257 0.897
O5 O 0.126 0.500 0.563
O6 O 0.127 0.000 0.314
O7 O 0.127 0.000 0.813
O8 O 0.127 0.500 0.064
O9 O 0.192 0.000 0.096
O10 O 0.192 0.000 0.596
O11 O 0.192 0.500 0.846
O12 O 0.193 0.500 0.346

***

No. 12
# CeCo2P2 (PBE, optimized geometry)
# Calculated volume   72.1 Å³/f.u.
# Formation energy from the elements   -1.0141 eV per atom
data_CeCo2P2
_space_group_name_H-M_alt 'I 4/m m m'
_space_group_IT_number 139
_space_group_name_Hall '-I 4 2'
_cell_length_a 3.889
_cell_length_b 3.889
_cell_length_c 9.527
_cell_angle_alpha 90.00
_cell_angle_beta 90.00
_cell_angle_gamma 90.00
loop_
_atom_site_label
_atom_site_type_symbol
_atom_site_fract_x
_atom_site_fract_y
_atom_site_fract_z
Ce1 Ce 0.000 0.000 0.000
Co1 Co 0.000 0.500 0.250
P1 P 0.000 0.000 0.371

***

- calculated volume of number 2 (CeOF)?
  45.5 Å³/f.u.

***

- Which formula does entry 12 have?
  CeCo2P2